Entry 1:
{"formula": "Al3O4F2", "functional": "PBE", "state": "optimized geometry", "lattice_angstrom": [[4.8535, 0.0000, 0.0000], [0.0000, 8.6346, 0.0000], [0.0000, 0.0000, 9.1013]], "species": ["F", "F", "F", "F", "F", "F", "F", "F", "O", "O", "O", "O", "O", "O", "O", "O", "O", "O", "O", "O", "O", "O", "O", "O", "Al", "Al", "Al", "Al", "Al", "Al", "Al", "Al", "Al", "Al", "Al", "Al"], "frac_coords": [[0.8929, 0.5529, 0.2484], [0.1071, 0.4471, 0.7516], [0.3929, 0.4471, 0.2516], [0.8929, 0.9471, 0.2484], [0.1071, 0.0529, 0.7516], [0.6071, 0.9471, 0.7484], [0.6071, 0.5529, 0.7484], [0.3929, 0.0529, 0.2516], [0.8003, 0.4137, 0.5105], [0.4688, 0.7500, 0.2465], [0.6997, 0.0863, 0.0105], [0.3003, 0.5863, 0.9895], [0.8003, 0.0863, 0.5105], [0.7206, 0.7500, 0.5339], [0.3003, 0.9137, 0.9895], [0.1997, 0.5863, 0.4895], [0.1997, 0.9137, 0.4895], [0.0312, 0.7500, 0.7465], [0.7794, 0.7500, 0.0339], [0.9688, 0.2500, 0.2535], [0.2206, 0.2500, 0.9661], [0.2794, 0.2500, 0.4661], [0.5312, 0.2500, 0.7535], [0.6997, 0.4137, 0.0105], [0.1016, 0.7500, 0.9378], [0.8984, 0.2500, 0.0622], [0.3984, 0.7500, 0.4378], [0.4136, 0.4189, 0.8696], [0.4136, 0.0811, 0.8696], [0.9136, 0.5811, 0.6304], [0.9136, 0.9189, 0.6304], [0.5864, 0.5811, 0.1304], [0.5864, 0.9189, 0.1304], [0.0864, 0.4189, 0.3696], [0.6016, 0.2500, 0.5622], [0.0864, 0.0811, 0.3696]], "ef_kj_per_mol_fu": -2857, "e_tot_ev_per_fu": -60.797}

Entry 2:
{"formula": "Al2P2O11F", "functional": "PBE", "state": "optimized geometry", "lattice_angstrom": [[9.5060, 0.0000, 0.0000], [0.0000, 9.6934, 0.0000], [0.0000, 0.0000, 9.8861]], "species": ["P", "P", "P", "P", "P", "P", "P", "P", "O", "O", "O", "O", "O", "O", "O", "O", "O", "O", "O", "O", "O", "O", "O", "O", "O", "O", "O", "O", "O", "O", "O", "O", "O", "O", "O", "O", "O", "O", "O", "O", "O", "O", "O", "O", "O", "O", "O", "O", "O", "O", "O", "O", "F", "F", "F", "F", "Al", "Al", "Al", "Al", "Al", "Al", "Al", "Al"], "frac_coords": [[0.5790, 0.4825, 0.1395], [0.4210, 0.9825, 0.3605], [0.0774, 0.7087, 0.1411], [0.0790, 0.0175, 0.8605], [0.9210, 0.5175, 0.6395], [0.5774, 0.7913, 0.8589], [0.4226, 0.2913, 0.6411], [0.9226, 0.2087, 0.3589], [0.2398, 0.4133, 0.3139], [0.0456, 0.1562, 0.7896], [0.4271, 0.1480, 0.7165], [0.5094, 0.7807, 0.9959], [0.9271, 0.3520, 0.2835], [0.9830, 0.9048, 0.8032], [0.0170, 0.4048, 0.6968], [0.4738, 0.1635, 0.9925], [0.7602, 0.9133, 0.1861], [0.2602, 0.5867, 0.8139], [0.5729, 0.6480, 0.7835], [0.0729, 0.8520, 0.2165], [0.5262, 0.6635, 0.5075], [0.9940, 0.0969, 0.2752], [0.0060, 0.5969, 0.2248], [0.6963, 0.4305, 0.4012], [0.4906, 0.2807, 0.5041], [0.7398, 0.0867, 0.6861], [0.7648, 0.4789, 0.6639], [0.4544, 0.8438, 0.2896], [0.9906, 0.2193, 0.4959], [0.7339, 0.8306, 0.8792], [0.0094, 0.7193, 0.0041], [0.2661, 0.3306, 0.6208], [0.7661, 0.1694, 0.3792], [0.2648, 0.0211, 0.3361], [0.4484, 0.9670, 0.5151], [0.7352, 0.5211, 0.1639], [0.2352, 0.9789, 0.8361], [0.0516, 0.0330, 0.0151], [0.4830, 0.5952, 0.1968], [0.8037, 0.5695, 0.9012], [0.5170, 0.0952, 0.3032], [0.2339, 0.6694, 0.1208], [0.9544, 0.6562, 0.7104], [0.5516, 0.4670, 0.9849], [0.5060, 0.9031, 0.7752], [0.4940, 0.4031, 0.7248], [0.9484, 0.5330, 0.4849], [0.9738, 0.3365, 0.0075], [0.0262, 0.8365, 0.4925], [0.5456, 0.3438, 0.2104], [0.3037, 0.9305, 0.0988], [0.1963, 0.0695, 0.5988], [0.7788, 0.6985, 0.3619], [0.7212, 0.3015, 0.8619], [0.2788, 0.8015, 0.6381], [0.2212, 0.1985, 0.1381], [0.1009, 0.2431, 0.6379], [0.8991, 0.7431, 0.8621], [0.1465, 0.0359, 0.1767], [0.3991, 0.7569, 0.1379], [0.3535, 0.9641, 0.6767], [0.6465, 0.4641, 0.8233], [0.6009, 0.2569, 0.3621], [0.8535, 0.5359, 0.3233]], "ef_kj_per_mol_fu": -3054, "e_tot_ev_per_fu": -98.298, "magmom_total_mub_per_cell": 28.00}

Entry 3:
{"formula": "SrAl2P2O8F2", "functional": "PBE", "state": "optimized geometry", "lattice_angstrom": [[4.7286, 0.0000, 0.0000], [0.0000, 12.1409, 0.0000], [0.0000, 0.0000, 12.3432]], "species": ["O", "O", "O", "O", "O", "O", "O", "O", "O", "O", "O", "O", "O", "O", "O", "O", "O", "O", "O", "O", "O", "O", "O", "O", "O", "O", "O", "O", "O", "O", "O", "O", "Al", "Al", "Al", "Al", "Al", "Al", "Al", "Al", "Sr", "Sr", "Sr", "Sr", "P", "P", "P", "P", "P", "P", "P", "P", "F", "F", "F", "F", "F", "F", "F", "F"], "frac_coords": [[0.9075, 0.3943, 0.5959], [0.3497, 0.1603, 0.8552], [0.9903, 0.6952, 0.2184], [0.1322, 0.3566, 0.8506], [0.0925, 0.8943, 0.9041], [0.4693, 0.7945, 0.2074], [0.8678, 0.8566, 0.6494], [0.0307, 0.2055, 0.7074], [0.0971, 0.3959, 0.3984], [0.5307, 0.2945, 0.2926], [0.7232, 0.0282, 0.9528], [0.2092, 0.0455, 0.0404], [0.9693, 0.7055, 0.7926], [0.9029, 0.8959, 0.1016], [0.5097, 0.3048, 0.7184], [0.4075, 0.1057, 0.4041], [0.0097, 0.1952, 0.2816], [0.4029, 0.6041, 0.8984], [0.6503, 0.6603, 0.6448], [0.7092, 0.4545, 0.9596], [0.4903, 0.8048, 0.7816], [0.2908, 0.9545, 0.5404], [0.5971, 0.1041, 0.6016], [0.5925, 0.6057, 0.0959], [0.1503, 0.8397, 0.3552], [0.7908, 0.5455, 0.4596], [0.8497, 0.3397, 0.1448], [0.3678, 0.6434, 0.3506], [0.2768, 0.5282, 0.5472], [0.6322, 0.1434, 0.1494], [0.2232, 0.4718, 0.0472], [0.7768, 0.9718, 0.4528], [0.2474, 0.7494, 0.8931], [0.2526, 0.2506, 0.3931], [0.7526, 0.2494, 0.6069], [0.5033, 0.6434, 0.5027], [0.4967, 0.1434, 0.9973], [0.0033, 0.8566, 0.4973], [0.7474, 0.7506, 0.1069], [0.9967, 0.3566, 0.0027], [0.7521, 0.4945, 0.7639], [0.7479, 0.5055, 0.2639], [0.2479, 0.9945, 0.7361], [0.2521, 0.0055, 0.2361], [0.9768, 0.9653, 0.9987], [0.4768, 0.5347, 0.0013], [0.2536, 0.2587, 0.7834], [0.5232, 0.0347, 0.4987], [0.7464, 0.7587, 0.7166], [0.7536, 0.2413, 0.2166], [0.2464, 0.7413, 0.2834], [0.0232, 0.4653, 0.5013], [0.2792, 0.2604, 0.0388], [0.7792, 0.2396, 0.9612], [0.5131, 0.7922, 0.9946], [0.9869, 0.2078, 0.4946], [0.4869, 0.2922, 0.5054], [0.2208, 0.7396, 0.5388], [0.7208, 0.7604, 0.4612], [0.0131, 0.7078, 0.0054]], "ef_kj_per_mol_fu": -4826, "e_tot_ev_per_fu": -107.022, "magmom_total_mub_per_cell": 0.00}

Entry 4:
{"formula": "AlPb3OF9", "functional": "PBE", "state": "optimized geometry", "lattice_angstrom": [[-4.7425, -0.5415, 3.2827], [2.1976, -4.7278, 2.3950], [11.9416, 10.8137, 19.0358]], "species": ["F", "F", "F", "F", "F", "F", "F", "F", "F", "F", "F", "F", "F", "F", "F", "F", "F", "F", "F", "F", "F", "F", "F", "F", "F", "F", "F", "F", "F", "F", "F", "F", "F", "F", "F", "F", "Pb", "Pb", "Pb", "Pb", "Pb", "Pb", "Pb", "Pb", "Pb", "Pb", "Pb", "Pb", "O", "O", "O", "O", "Al", "Al", "Al", "Al"], "frac_coords": [[0.2567, 0.8828, 0.9776], [0.5792, 0.2552, 0.7484], [0.9208, 0.2552, 0.2484], [0.3673, 0.9087, 0.8333], [0.5321, 0.3871, 0.0845], [0.9168, 0.0687, 0.4075], [0.4679, 0.6129, 0.9155], [0.4166, 0.2451, 0.2548], [0.2433, 0.8828, 0.4776], [0.0792, 0.7448, 0.7516], [0.6327, 0.0913, 0.1667], [0.5490, 0.2720, 0.6038], [0.9679, 0.3871, 0.5845], [0.7567, 0.1172, 0.5224], [0.9510, 0.2720, 0.1038], [0.9166, 0.7549, 0.2452], [0.5832, 0.0687, 0.9075], [0.7316, 0.4753, 0.3407], [0.2684, 0.5247, 0.6593], [0.1380, 0.1665, 0.8901], [0.0490, 0.7280, 0.8962], [0.2316, 0.5247, 0.1593], [0.4168, 0.9313, 0.0925], [0.0321, 0.6129, 0.4155], [0.4208, 0.7448, 0.2516], [0.4510, 0.7280, 0.3962], [0.8620, 0.8335, 0.1099], [0.8673, 0.0913, 0.6667], [0.3620, 0.1665, 0.3901], [0.7433, 0.1172, 0.0224], [0.7684, 0.4753, 0.8407], [0.6380, 0.8335, 0.6099], [0.0832, 0.9313, 0.5925], [0.5834, 0.7549, 0.7452], [0.0834, 0.2451, 0.7548], [0.1327, 0.9087, 0.3333], [0.1740, 0.6183, 0.0608], [0.8260, 0.3817, 0.9392], [0.8562, 0.5309, 0.6882], [0.3239, 0.0570, 0.6898], [0.8239, 0.9430, 0.8102], [0.6761, 0.9430, 0.3102], [0.3260, 0.6183, 0.5608], [0.6740, 0.3817, 0.4392], [0.1438, 0.4691, 0.3118], [0.1761, 0.0570, 0.1898], [0.3562, 0.4691, 0.8118], [0.6438, 0.5309, 0.1882], [0.7787, 0.6378, 0.0065], [0.2787, 0.3622, 0.4935], [0.2213, 0.3622, 0.9935], [0.7213, 0.6378, 0.5065], [0.8156, 0.1045, 0.5924], [0.3156, 0.8955, 0.9076], [0.1844, 0.8955, 0.4076], [0.6844, 0.1045, 0.0924]], "relative_energy_mev_per_atom": 126, "ef_kj_per_mol_fu": -3618, "e_tot_ev_per_fu": -69.713, "magmom_total_mub_per_cell": 8.00}